1.
Compound: Pr5Ru2
Source: the Materials Project database
Functional: PBE-GGA
Structure: relaxed

- space group = C2/c, No. 15
- formation energy from the elements (meV/atom) = -191.2
- calculated volume (Å³ per cell) = 410.6
- crystal system = monoclinic

a b c (Å): 8.972 8.972 7.437
angles (deg): 96.06 96.06 43.67
Fractional positions:
Pr 0.075 0.925 0.750
Pr 0.141 0.293 0.315
Pr 0.293 0.141 0.815
Pr 0.297 0.519 0.085
Pr 0.481 0.703 0.415
Pr 0.519 0.297 0.585
Pr 0.703 0.481 0.915
Pr 0.707 0.859 0.185
Pr 0.859 0.707 0.685
Pr 0.925 0.075 0.250
Ru 0.102 0.677 0.425
Ru 0.323 0.898 0.075
Ru 0.677 0.102 0.925
Ru 0.898 0.323 0.575

2.
Compound: SiN2F6
Source: the Materials Project database
Functional: PBE-GGA
Structure: relaxed

- space group = Fm-3m, No. 225
- formation energy from the elements (meV/atom) = -793.2
- calculated volume (Å³ per cell) = 110.0
- crystal system = cubic
- polymorph energy (0 for the lowest one) (meV/atom) = 151

a b c (Å): 5.378 5.378 5.378
angles (deg): 60.00 60.00 60.00
Fractional positions:
Si 0.000 0.000 0.000
N 0.250 0.250 0.250
N 0.750 0.750 0.750
F 0.225 0.225 0.775
F 0.225 0.775 0.225
F 0.225 0.775 0.775
F 0.775 0.225 0.225
F 0.775 0.225 0.775
F 0.775 0.775 0.225

3.
Compound: Zr6PI14
Source: the Materials Project database
Functional: PBE-GGA
Structure: relaxed

- space group = Cmce, No. 64
- formation energy from the elements (meV/atom) = -1286.7
- calculated volume (Å³ per cell) = 1593.4
- crystal system = orthorhombic

a b c (Å): 10.983 10.983 13.261
angles (deg): 90.00 90.00 84.87
Fractional positions:
Zr 0.045 0.176 0.887
Zr 0.138 0.862 0.898
Zr 0.176 0.045 0.113
Zr 0.324 0.455 0.613
Zr 0.362 0.638 0.398
Zr 0.455 0.324 0.387
Zr 0.545 0.676 0.613
Zr 0.638 0.362 0.602
Zr 0.676 0.545 0.387
Zr 0.824 0.955 0.887
Zr 0.862 0.138 0.102
Zr 0.955 0.824 0.113
P 0.000 0.000 0.000
P 0.500 0.500 0.500
I 0.036 0.215 0.246
I 0.100 0.400 0.750
I 0.115 0.638 0.009
I 0.138 0.615 0.509
I 0.151 0.849 0.263
I 0.215 0.036 0.754
I 0.250 0.250 0.000
I 0.250 0.250 0.500
I 0.285 0.464 0.254
I 0.349 0.651 0.763
I 0.362 0.885 0.009
I 0.385 0.862 0.509
I 0.400 0.100 0.250
I 0.464 0.285 0.746
I 0.536 0.715 0.254
I 0.600 0.900 0.750
I 0.615 0.138 0.491
I 0.638 0.115 0.991
I 0.651 0.349 0.237
I 0.715 0.536 0.746
I 0.750 0.750 0.000
I 0.750 0.750 0.500
I 0.785 0.964 0.246
I 0.849 0.151 0.737
I 0.862 0.385 0.491
I 0.885 0.362 0.991
I 0.900 0.600 0.250
I 0.964 0.785 0.754

4.
Compound: K3Zr2NF12
Source: the Materials Project database
Functional: PBE-GGA
Structure: relaxed

- space group = C2/m, No. 12
- formation energy from the elements (meV/atom) = -3158.4
- calculated volume (Å³ per cell) = 609.8
- crystal system = monoclinic

a b c (Å): 7.654 7.654 13.074
angles (deg): 113.66 113.66 64.80
Fractional positions:
K 0.148 0.148 0.338
K 0.180 0.180 0.811
K 0.345 0.345 0.645
K 0.655 0.655 0.355
K 0.820 0.820 0.189
K 0.852 0.852 0.662
Zr 0.211 0.789 0.000
Zr 0.256 0.744 0.500
Zr 0.744 0.256 0.500
Zr 0.789 0.211 0.000
N 0.372 0.372 0.151
N 0.628 0.628 0.849
F 0.058 0.708 0.056
F 0.082 0.082 0.107
F 0.107 0.107 0.545
F 0.136 0.518 0.444
F 0.179 0.793 0.342
F 0.207 0.821 0.658
F 0.227 0.554 0.859
F 0.292 0.942 0.944
F 0.370 0.370 0.046
F 0.446 0.773 0.141
F 0.482 0.864 0.556
F 0.483 0.483 0.404
F 0.517 0.517 0.596
F 0.518 0.136 0.444
F 0.554 0.227 0.859
F 0.630 0.630 0.954
F 0.708 0.058 0.056
F 0.773 0.446 0.141
F 0.793 0.179 0.342
F 0.821 0.207 0.658
F 0.864 0.482 0.556
F 0.893 0.893 0.455
F 0.918 0.918 0.893
F 0.942 0.292 0.944

5.
Compound: K2B10H9O
Source: the Materials Project database
Functional: PBE-GGA
Structure: relaxed

- space group = P2_1/c, No. 14
- formation energy from the elements (meV/atom) = -208.2
- calculated volume (Å³ per cell) = 1079.3
- crystal system = monoclinic

a b c (Å): 7.052 13.371 11.583
angles (deg): 90.00 98.80 90.00
Fractional positions:
K 0.196 0.149 0.112
K 0.196 0.351 0.612
K 0.230 0.609 0.934
K 0.230 0.891 0.434
K 0.770 0.109 0.566
K 0.770 0.391 0.066
K 0.804 0.649 0.388
K 0.804 0.851 0.888
B 0.170 0.507 0.218
B 0.170 0.993 0.718
B 0.180 0.127 0.754
B 0.180 0.373 0.254
B 0.214 0.034 0.867
B 0.214 0.466 0.367
B 0.231 0.083 0.624
B 0.231 0.417 0.124
B 0.379 0.556 0.310
B 0.379 0.944 0.810
B 0.387 0.132 0.866
B 0.387 0.368 0.366
B 0.412 0.002 0.675
B 0.412 0.498 0.175
B 0.422 0.135 0.715
B 0.422 0.365 0.215
B 0.447 0.543 0.692
B 0.447 0.957 0.192
B 0.453 0.017 0.933
B 0.453 0.483 0.433
B 0.547 0.517 0.567
B 0.547 0.983 0.067
B 0.553 0.043 0.808
B 0.553 0.457 0.308
B 0.578 0.635 0.785
B 0.578 0.865 0.285
B 0.588 0.502 0.825
B 0.588 0.998 0.325
B 0.613 0.632 0.634
B 0.613 0.868 0.134
B 0.621 0.056 0.190
B 0.621 0.444 0.690
B 0.769 0.583 0.876
B 0.769 0.917 0.376
B 0.786 0.534 0.633
B 0.786 0.966 0.133
B 0.820 0.627 0.746
B 0.820 0.873 0.246
B 0.830 0.007 0.282
B 0.830 0.493 0.782
H 0.038 0.563 0.186
H 0.038 0.937 0.686
H 0.057 0.189 0.757
H 0.057 0.311 0.257
H 0.089 0.021 0.926
H 0.089 0.479 0.426
H 0.163 0.103 0.526
H 0.163 0.397 0.026
H 0.275 0.543 0.684
H 0.275 0.957 0.184
H 0.393 0.645 0.319
H 0.393 0.855 0.819
H 0.416 0.207 0.924
H 0.416 0.293 0.424
H 0.492 0.703 0.820
H 0.492 0.797 0.320
H 0.494 0.544 0.108
H 0.494 0.956 0.608
H 0.506 0.044 0.392
H 0.506 0.456 0.892
H 0.508 0.203 0.680
H 0.508 0.297 0.180
H 0.584 0.707 0.576
H 0.584 0.793 0.076
H 0.607 0.145 0.181
H 0.607 0.355 0.681
H 0.725 0.043 0.816
H 0.725 0.457 0.316
H 0.837 0.603 0.974
H 0.837 0.897 0.474
H 0.911 0.521 0.574
H 0.911 0.979 0.074
H 0.943 0.689 0.743
H 0.943 0.811 0.243
H 0.962 0.063 0.314
H 0.962 0.437 0.814
O 0.139 0.713 0.502
O 0.139 0.787 0.002
O 0.861 0.213 0.998
O 0.861 0.287 0.498

6.
Compound: Eu5Nb4O15
Source: the Materials Project database
Functional: PBE-GGA
Structure: relaxed

- space group = P1, No. 1
- formation energy from the elements (meV/atom) = -3256.7
- calculated volume (Å³ per cell) = 329.3
- crystal system = triclinic

a b c (Å): 5.729 5.729 11.583
angles (deg): 90.00 89.97 60.01
Fractional positions:
Eu 0.000 0.000 0.000
Eu 0.001 0.001 0.332
Eu 0.334 0.333 0.771
Eu 0.668 0.667 0.542
Eu 0.669 0.667 0.210
Nb 0.002 0.000 0.667
Nb 0.334 0.333 0.092
Nb 0.335 0.333 0.451
Nb 0.668 0.666 0.877
O 0.006 0.497 0.969
O 0.162 0.163 0.167
O 0.162 0.676 0.167
O 0.170 0.168 0.574
O 0.170 0.662 0.574
O 0.335 0.833 0.772
O 0.500 0.003 0.970
O 0.500 0.497 0.970
O 0.506 0.991 0.376
O 0.507 0.504 0.376
O 0.664 0.168 0.574
O 0.676 0.162 0.167
O 0.835 0.333 0.772
O 0.835 0.833 0.772
O 0.993 0.504 0.376

7.
Compound: Sr3CaCN4
Source: the Materials Project database
Functional: PBE-GGA
Structure: relaxed

- space group = Pnma, No. 62
- formation energy from the elements (meV/atom) = -902.2
- calculated volume (Å³ per cell) = 662.9
- crystal system = orthorhombic

a b c (Å): 12.081 3.774 14.538
angles (deg): 90.00 90.00 90.00
Fractional positions:
Sr 0.115 0.250 0.109
Sr 0.122 0.250 0.536
Sr 0.148 0.750 0.743
Sr 0.352 0.250 0.243
Sr 0.378 0.750 0.036
Sr 0.385 0.750 0.609
Sr 0.615 0.250 0.391
Sr 0.622 0.250 0.964
Sr 0.648 0.750 0.757
Sr 0.852 0.250 0.257
Sr 0.878 0.750 0.464
Sr 0.885 0.750 0.891
Ca 0.107 0.750 0.325
Ca 0.393 0.250 0.825
Ca 0.607 0.750 0.175
Ca 0.893 0.250 0.675
C 0.149 0.250 0.910
C 0.351 0.750 0.410
C 0.649 0.250 0.590
C 0.851 0.750 0.090
N 0.001 0.250 0.379
N 0.057 0.250 0.873
N 0.223 0.750 0.184
N 0.240 0.250 0.950
N 0.260 0.750 0.450
N 0.277 0.250 0.684
N 0.443 0.750 0.373
N 0.499 0.750 0.879
N 0.501 0.250 0.121
N 0.557 0.250 0.627
N 0.723 0.750 0.316
N 0.740 0.250 0.550
N 0.760 0.750 0.050
N 0.777 0.250 0.816
N 0.943 0.750 0.127
N 0.999 0.750 0.621

8.
Compound: Mg2SnSbO6
Source: the Materials Project database
Functional: PBE-GGA
Structure: relaxed

- space group = P2_1/m, No. 11
- formation energy from the elements (meV/atom) = -2284.0
- calculated volume (Å³ per cell) = 235.5
- crystal system = monoclinic

a b c (Å): 5.369 7.973 5.501
angles (deg): 90.00 90.24 90.00
Fractional positions:
Mg 0.001 0.250 0.039
Mg 0.499 0.750 0.453
Mg 0.501 0.250 0.547
Mg 0.999 0.750 0.961
Sn 0.500 0.000 0.000
Sn 0.500 0.500 0.000
Sb 0.000 0.000 0.500
Sb 0.000 0.500 0.500
O 0.129 0.250 0.416
O 0.175 0.575 0.175
O 0.175 0.925 0.175
O 0.332 0.575 0.677
O 0.332 0.925 0.677
O 0.361 0.250 0.910
O 0.639 0.750 0.090
O 0.668 0.075 0.323
O 0.668 0.425 0.323
O 0.825 0.075 0.825
O 0.825 0.425 0.825
O 0.871 0.750 0.584